A plane-wave DFT calculation with PBE+U was carried out for an optimized crystal structure of LiMoP4O12.

Results
- energy of formation (eV per atom) = -2.553
- MP2020-corrected energy (eV/cell) = -279.49
- total magnetic moment (μB/cell) = 6.00
- space group = C2/c, No. 15

Unit cell a=8.727 b=8.727 c=9.847 alpha=119.51 beta=119.51 gamma=50.56
Fractional positions:
Li 0.192 0.808 0.750
Li 0.808 0.192 0.250
Mo 0.364 0.636 0.250
Mo 0.636 0.364 0.750
P 0.056 0.208 0.634
P 0.188 0.530 0.830
P 0.208 0.056 0.134
P 0.470 0.812 0.670
P 0.530 0.188 0.330
P 0.792 0.944 0.866
P 0.812 0.470 0.170
P 0.944 0.792 0.366
O 0.002 0.146 0.455
O 0.021 0.264 0.211
O 0.097 0.698 0.277
O 0.138 0.359 0.695
O 0.146 0.002 0.955
O 0.243 0.519 0.997
O 0.264 0.021 0.711
O 0.302 0.903 0.223
O 0.339 0.520 0.788
O 0.359 0.138 0.195
O 0.480 0.661 0.712
O 0.481 0.757 0.503
O 0.519 0.243 0.497
O 0.520 0.339 0.288
O 0.641 0.862 0.805
O 0.661 0.480 0.212
O 0.698 0.097 0.777
O 0.736 0.979 0.289
O 0.757 0.481 0.003
O 0.854 0.998 0.045
O 0.862 0.641 0.305
O 0.903 0.302 0.723
O 0.979 0.736 0.789
O 0.998 0.854 0.545